# RuCl3

A geometry-optimized RuCl3 structure (GGA-PBE, the Materials Project).

- space group = P3_112
- density (g cm⁻³) = 3.263
- energy relative to the elements (kcal/mol of atoms) = -22.51
- raw total energy (eV per atom) = -4.2206
- V (Å³/f.u.) = 105.6

```
RuCl3
1.0
3.030 -5.248 0.000
3.030 5.248 0.000
0.000 0.000 19.917
Cl Ru
18 6
Cartesian
3.088 2.813 1.981
2.972 -3.979 11.300
2.972 2.813 11.297
2.910 -0.583 1.979
3.088 -3.979 1.979
4.990 -0.685 17.939
4.932 -0.584 8.618
3.922 1.167 15.259
2.080 -2.436 8.618
1.960 -2.228 17.938
3.150 -0.583 11.299
4.100 -2.228 15.257
3.980 1.268 4.658
1.070 -0.685 15.257
3.980 -2.436 4.660
2.138 1.167 17.936
1.128 -0.584 4.660
2.080 1.268 8.620
4.040 -2.333 9.959
2.020 -2.333 3.320
3.030 2.917 16.598
4.041 1.165 9.959
2.019 1.165 3.320
3.030 -0.583 16.598
```